# Pr4Si3S12 | the Materials Project | r²SCAN | optimized geometry
data_Pr4Si3S12
_symmetry_space_group_name_H-M 'R 3 c'
_symmetry_Int_Tables_number 161
_symmetry_space_group_name_Hall 'R 3 -2"c'
_cell_length_a 19.2862
_cell_length_b 19.2862
_cell_length_c 8.0113
_cell_angle_alpha 90.00
_cell_angle_beta 90.00
_cell_angle_gamma 120.00
loop_
_atom_site_label
_atom_site_fract_x
_atom_site_fract_y
_atom_site_fract_z
Pr1 0.0000 0.0000 0.0000
Pr2 0.1048 0.4347 0.4600
Si1 0.0139 0.1995 0.3438
S1 0.0000 0.2674 0.1523
S2 0.0479 0.4871 0.1642
S3 0.0602 0.1258 0.2504
S4 0.2015 0.0831 0.4928
# Total magnetization = 0.000 μB per cell
# Total DFT energy (no corrections) = -271.53 eV per formula unit
# ρ = 4.0 g/cm3
# Energy of formation = -1.64 eV/atom